Crystalline Cu2BrO3 at its relaxed geometry. Source: the Materials Project database, functional GGA-PBE.

Values from the calculation:
SG: P2_1/m (11)
Crystal system: monoclinic
MP2020-corrected energy, eV for the cell shown: -56.1
E_tot, eV per cell: -51.94
DFT formation energy, meV/atom: -558

Cell: 5.8922 5.4193 5.6961 Å, 88.02 90.00 90.00°
Fractional positions:
1 Cu 0.5000 0.0000 0.0000
2 Cu 0.0000 0.0000 0.0000
3 Cu 0.2500 0.4981 0.0072
4 Cu 0.7500 0.5019 0.9928
5 Br 0.2500 0.7927 0.3863
6 Br 0.7500 0.2073 0.6137
7 O 0.2500 0.1116 0.8374
8 O 0.7500 0.8884 0.1626
9 O 0.4927 0.6841 0.8705
10 O 0.9927 0.3159 0.1295
11 O 0.5073 0.3159 0.1295
12 O 0.0073 0.6841 0.8705